Record 1
A geometry-optimized B10H13I structure, computed with PBE.

```
data_B10H13I
_space_group_name_H-M_alt 'P 1'
_space_group_IT_number 1
_cell_length_a 12.142
_cell_length_b 7.426
_cell_length_c 15.269
_cell_angle_alpha 90.00
_cell_angle_beta 118.66
_cell_angle_gamma 90.00
loop_
_space_group_symop_operation_xyz
'x,y,z'
loop_
_atom_site_label
_atom_site_fract_x
_atom_site_fract_y
_atom_site_fract_z
B1 0.079 0.127 0.391
B2 0.079 0.373 0.891
B3 0.133 0.152 0.920
B4 0.133 0.348 0.420
B5 0.137 0.236 0.522
B6 0.137 0.264 0.022
B7 0.172 0.222 0.340
B8 0.172 0.278 0.840
B9 0.189 0.503 0.873
B10 0.189 0.997 0.373
B11 0.262 0.113 0.041
B12 0.262 0.387 0.541
B13 0.289 0.147 0.937
B14 0.289 0.353 0.437
B15 0.297 0.196 0.613
B16 0.297 0.304 0.113
B17 0.326 0.133 0.419
B18 0.326 0.367 0.919
B19 0.386 0.245 0.550
B20 0.386 0.255 0.050
B21 0.614 0.745 0.950
B22 0.614 0.755 0.450
B23 0.674 0.633 0.081
B24 0.674 0.867 0.581
B25 0.703 0.696 0.887
B26 0.703 0.804 0.387
B27 0.711 0.647 0.563
B28 0.711 0.853 0.063
B29 0.738 0.613 0.459
B30 0.738 0.887 0.959
B31 0.811 0.003 0.627
B32 0.811 0.497 0.127
B33 0.828 0.722 0.160
B34 0.828 0.778 0.660
B35 0.863 0.736 0.978
B36 0.863 0.764 0.478
B37 0.867 0.652 0.580
B38 0.867 0.848 0.080
B39 0.921 0.627 0.109
B40 0.921 0.873 0.609
H1 0.030 0.592 0.156
H2 0.030 0.908 0.656
H3 0.053 0.039 0.886
H4 0.053 0.461 0.386
H5 0.061 0.241 0.049
H6 0.061 0.259 0.549
H7 0.133 0.529 0.929
H8 0.133 0.971 0.429
H9 0.134 0.232 0.756
H10 0.134 0.268 0.256
H11 0.167 0.634 0.823
H12 0.167 0.866 0.323
H13 0.197 0.087 0.568
H14 0.197 0.413 0.068
H15 0.306 0.525 0.949
H16 0.306 0.975 0.449
H17 0.336 0.179 0.701
H18 0.336 0.321 0.201
H19 0.339 0.030 0.915
H20 0.339 0.470 0.415
H21 0.370 0.094 0.588
H22 0.370 0.406 0.088
H23 0.404 0.102 0.395
H24 0.404 0.398 0.895
H25 0.495 0.223 0.099
H26 0.495 0.277 0.599
H27 0.505 0.723 0.401
H28 0.505 0.777 0.901
H29 0.596 0.602 0.105
H30 0.596 0.898 0.605
H31 0.630 0.594 0.912
H32 0.630 0.906 0.412
H33 0.661 0.530 0.585
H34 0.661 0.970 0.085
H35 0.664 0.679 0.799
H36 0.664 0.821 0.299
H37 0.694 0.025 0.551
H38 0.694 0.475 0.051
H39 0.803 0.587 0.932
H40 0.803 0.913 0.432
H41 0.833 0.134 0.677
H42 0.833 0.366 0.177
H43 0.866 0.732 0.744
H44 0.866 0.768 0.244
H45 0.867 0.029 0.571
H46 0.867 0.471 0.071
H47 0.939 0.741 0.451
H48 0.939 0.759 0.951
H49 0.947 0.539 0.614
H50 0.947 0.961 0.114
H51 0.970 0.092 0.344
H52 0.970 0.408 0.844
I1 0.296 0.649 0.617
I2 0.296 0.851 0.117
I3 0.704 0.149 0.883
I4 0.704 0.351 0.383
```

## Properties
Distance to the lowest polymorph of the same formula = 0.001 eV per atom
DFT formation energy = -2.6 eV/f.u.
E = -4.78 eV per atom
SG = P2_1/c, No. 14


Record 2
A geometry-optimized HoMo6Se8 structure, computed with PBE.

```
data_HoMo6Se8
_space_group_name_H-M_alt 'P 1'
_space_group_IT_number 1
_cell_length_a 6.779
_cell_length_b 6.779
_cell_length_c 6.779
_cell_angle_alpha 89.34
_cell_angle_beta 89.34
_cell_angle_gamma 89.34
loop_
_space_group_symop_operation_xyz
'x,y,z'
loop_
_atom_site_label
_atom_site_fract_x
_atom_site_fract_y
_atom_site_fract_z
Ho1 0.000 0.000 0.000
Mo1 0.233 0.423 0.558
Mo2 0.423 0.558 0.233
Mo3 0.442 0.767 0.577
Mo4 0.558 0.233 0.423
Mo5 0.577 0.442 0.767
Mo6 0.767 0.577 0.442
Se1 0.123 0.757 0.370
Se2 0.236 0.236 0.236
Se3 0.243 0.630 0.877
Se4 0.370 0.123 0.757
Se5 0.630 0.877 0.243
Se6 0.757 0.370 0.123
Se7 0.764 0.764 0.764
Se8 0.877 0.243 0.630
```

## Properties
DFT formation energy = -14.2 eV/f.u.
E = -7.20 eV per atom
SG = R-3, No. 148


Record 3
A geometry-optimized CaMg6CuO8 structure, computed with PBE.

```
data_CaMg6CuO8
_space_group_name_H-M_alt 'P 1'
_space_group_IT_number 1
_cell_length_a 4.387
_cell_length_b 4.387
_cell_length_c 8.559
_cell_angle_alpha 90.00
_cell_angle_beta 90.00
_cell_angle_gamma 90.00
loop_
_space_group_symop_operation_xyz
'x,y,z'
loop_
_atom_site_label
_atom_site_fract_x
_atom_site_fract_y
_atom_site_fract_z
Ca1 0.000 0.000 0.000
Mg1 0.000 0.500 0.258
Mg2 0.000 0.500 0.742
Mg3 0.500 0.000 0.258
Mg4 0.500 0.000 0.742
Mg5 0.500 0.500 0.000
Mg6 0.500 0.500 0.500
Cu1 0.000 0.000 0.500
O1 0.000 0.000 0.265
O2 0.000 0.000 0.735
O3 0.000 0.500 0.000
O4 0.000 0.500 0.500
O5 0.500 0.000 0.000
O6 0.500 0.000 0.500
O7 0.500 0.500 0.251
O8 0.500 0.500 0.749
```

## Properties
DFT formation energy = -43.7 eV/f.u.
E = -5.84 eV per atom
SG = P4/mmm, No. 123


Record 4
A geometry-optimized Si structure, computed with PBE.

```
data_Si
_space_group_name_H-M_alt 'P 1'
_space_group_IT_number 1
_cell_length_a 5.771
_cell_length_b 5.771
_cell_length_c 5.771
_cell_angle_alpha 109.81
_cell_angle_beta 109.81
_cell_angle_gamma 109.81
loop_
_space_group_symop_operation_xyz
'x,y,z'
loop_
_atom_site_label
_atom_site_fract_x
_atom_site_fract_y
_atom_site_fract_z
Si1 0.020 0.217 0.518
Si2 0.213 0.213 0.213
Si3 0.217 0.518 0.020
Si4 0.482 0.980 0.783
Si5 0.518 0.020 0.217
Si6 0.783 0.482 0.980
Si7 0.787 0.787 0.787
Si8 0.980 0.783 0.482
```

## Properties
Distance to the lowest polymorph of the same formula = 0.161 eV per atom
DFT formation energy = 0.2 eV/f.u.
E = -5.26 eV per atom
SG = R-3, No. 148